Record 1
{
  "formula": "Li5Mn4P8O28",
  "functional": "GGA+U",
  "state": "relaxed",
  "cell": [[-9.573, 1.021, -1.635], [-1.714, -2.085, 9.390], [1.271, 11.256, 0.104]],
  "species": ["Li", "Li", "Li", "Li", "Li", "Li", "Li", "Li", "Li", "Li", "Mn", "Mn", "Mn", "Mn", "Mn", "Mn", "Mn", "Mn", "P", "P", "P", "P", "P", "P", "P", "P", "P", "P", "P", "P", "P", "P", "P", "P", "O", "O", "O", "O", "O", "O", "O", "O", "O", "O", "O", "O", "O", "O", "O", "O", "O", "O", "O", "O", "O", "O", "O", "O", "O", "O", "O", "O", "O", "O", "O", "O", "O", "O", "O", "O", "O", "O", "O", "O", "O", "O", "O", "O", "O", "O", "O", "O", "O", "O", "O", "O", "O", "O", "O", "O"],
  "frac_coords": [[0.570, 0.842, 0.463], [0.892, 0.911, 0.977], [0.404, 0.578, 0.019], [0.035, 0.619, 0.501], [0.208, 0.384, 0.545], [0.413, 0.151, 0.039], [0.899, 0.353, 0.963], [0.107, 0.094, 0.032], [0.419, 0.165, 0.543], [0.725, 0.129, 0.452], [0.073, 0.799, 0.322], [0.774, 0.723, 0.165], [0.290, 0.757, 0.824], [0.576, 0.697, 0.672], [0.422, 0.298, 0.324], [0.714, 0.240, 0.172], [0.223, 0.261, 0.829], [0.931, 0.207, 0.673], [0.559, 0.973, 0.240], [0.292, 0.879, 0.111], [0.070, 0.941, 0.762], [0.854, 0.880, 0.573], [0.349, 0.623, 0.431], [0.572, 0.567, 0.245], [0.953, 0.478, 0.251], [0.788, 0.618, 0.885], [0.208, 0.388, 0.111], [0.051, 0.532, 0.756], [0.421, 0.431, 0.752], [0.653, 0.378, 0.589], [0.148, 0.119, 0.421], [0.926, 0.064, 0.241], [0.712, 0.114, 0.892], [0.451, 0.018, 0.755], [0.586, 0.987, 0.374], [0.152, 0.962, 0.424], [0.912, 0.917, 0.268], [0.659, 0.886, 0.153], [0.412, 0.899, 0.215], [0.172, 0.821, 0.170], [0.349, 0.771, 0.999], [0.737, 0.972, 0.915], [0.928, 0.876, 0.699], [0.059, 0.945, 0.895], [0.461, 0.862, 0.777], [0.710, 0.825, 0.584], [0.185, 0.839, 0.707], [0.940, 0.792, 0.473], [0.445, 0.714, 0.528], [0.684, 0.677, 0.308], [0.209, 0.683, 0.415], [0.956, 0.629, 0.218], [0.428, 0.623, 0.304], [0.575, 0.579, 0.114], [0.241, 0.528, 0.087], [0.840, 0.728, 0.001], [0.670, 0.679, 0.824], [0.909, 0.611, 0.785], [0.410, 0.582, 0.734], [0.155, 0.617, 0.848], [0.928, 0.484, 0.382], [0.660, 0.531, 0.576], [0.337, 0.471, 0.444], [0.084, 0.529, 0.626], [0.854, 0.385, 0.155], [0.591, 0.419, 0.269], [0.100, 0.410, 0.223], [0.327, 0.310, 0.156], [0.132, 0.286, 0.003], [0.772, 0.477, 0.914], [0.399, 0.417, 0.881], [0.574, 0.379, 0.714], [0.035, 0.379, 0.780], [0.794, 0.316, 0.602], [0.323, 0.327, 0.669], [0.572, 0.280, 0.487], [0.077, 0.212, 0.527], [0.810, 0.163, 0.302], [0.293, 0.174, 0.408], [0.548, 0.123, 0.206], [0.932, 0.071, 0.109], [0.069, 0.131, 0.298], [0.274, 0.020, 0.081], [0.645, 0.215, 0.005], [0.831, 0.188, 0.844], [0.598, 0.094, 0.785], [0.354, 0.097, 0.853], [0.084, 0.088, 0.730], [0.847, 0.038, 0.566], [0.424, 0.019, 0.626]],
  "energy_ev_per_atom": -7.0408,
  "polymorph_energy_mev_per_atom": 8,
  "formation_energy_ev_per_atom": -2.549
}

Record 2
{
  "formula": "K2Sm2MgMo4O16",
  "functional": "GGA+U",
  "state": "relaxed",
  "cell": [[-2.976, 6.394, 3.345], [-2.354, 0.682, -6.878], [-3.110, -6.372, 4.561]],
  "species": ["K", "K", "Sm", "Sm", "Mg", "Mo", "Mo", "Mo", "Mo", "O", "O", "O", "O", "O", "O", "O", "O", "O", "O", "O", "O", "O", "O", "O", "O"],
  "frac_coords": [[0.538, 0.203, 0.377], [0.614, 0.851, 0.786], [0.032, 0.762, 0.206], [0.942, 0.248, 0.750], [0.202, 0.194, 0.054], [0.964, 0.314, 0.284], [0.065, 0.718, 0.723], [0.531, 0.676, 0.226], [0.429, 0.283, 0.749], [0.724, 0.143, 0.156], [0.303, 0.906, 0.881], [0.463, 0.476, 0.289], [0.442, 0.458, 0.661], [0.719, 0.923, 0.438], [0.248, 0.032, 0.540], [0.035, 0.393, 0.101], [0.962, 0.622, 0.876], [0.994, 0.635, 0.438], [0.014, 0.380, 0.558], [0.659, 0.606, 0.061], [0.294, 0.344, 0.915], [0.110, 0.115, 0.227], [0.966, 0.956, 0.786], [0.343, 0.777, 0.189], [0.638, 0.208, 0.763]],
  "energy_ev_per_atom": -6.9711,
  "polymorph_energy_mev_per_atom": 0,
  "formation_energy_ev_per_atom": -2.491
}

Record 3
{
  "formula": "ZnCoP2O7",
  "functional": "GGA+U",
  "state": "relaxed",
  "cell": [[-4.700, -0.974, 6.915], [-1.854, -6.463, -2.171], [5.669, -6.552, 2.930]],
  "species": ["Zn", "Zn", "Zn", "Zn", "Co", "Co", "Co", "Co", "P", "P", "P", "P", "P", "P", "P", "P", "O", "O", "O", "O", "O", "O", "O", "O", "O", "O", "O", "O", "O", "O", "O", "O", "O", "O", "O", "O", "O", "O", "O", "O", "O", "O", "O", "O"],
  "frac_coords": [[0.942, 0.697, 0.181], [0.442, 0.303, 0.319], [0.558, 0.697, 0.681], [0.058, 0.303, 0.819], [0.071, 0.233, 0.393], [0.929, 0.767, 0.607], [0.571, 0.767, 0.107], [0.429, 0.233, 0.893], [0.733, 0.059, 0.759], [0.226, 0.533, 0.031], [0.767, 0.059, 0.259], [0.274, 0.533, 0.531], [0.233, 0.941, 0.741], [0.726, 0.467, 0.469], [0.774, 0.467, 0.969], [0.267, 0.941, 0.241], [0.174, 0.749, 0.898], [0.610, 0.109, 0.316], [0.890, 0.109, 0.816], [0.389, 0.554, 0.101], [0.826, 0.251, 0.102], [0.097, 0.976, 0.621], [0.611, 0.446, 0.899], [0.092, 0.485, 0.154], [0.265, 0.376, 0.452], [0.903, 0.024, 0.379], [0.403, 0.976, 0.121], [0.757, 0.881, 0.203], [0.257, 0.119, 0.297], [0.326, 0.749, 0.398], [0.597, 0.024, 0.879], [0.110, 0.891, 0.184], [0.243, 0.119, 0.797], [0.908, 0.515, 0.846], [0.235, 0.376, 0.952], [0.765, 0.624, 0.048], [0.889, 0.446, 0.399], [0.408, 0.485, 0.654], [0.592, 0.515, 0.346], [0.390, 0.891, 0.684], [0.743, 0.881, 0.703], [0.111, 0.554, 0.601], [0.735, 0.624, 0.548], [0.674, 0.251, 0.602]],
  "energy_ev_per_atom": -6.6412,
  "polymorph_energy_mev_per_atom": 0,
  "formation_energy_ev_per_atom": -2.334
}

Record 4
{
  "formula": "Cr7P6O24",
  "functional": "GGA+U",
  "state": "relaxed",
  "cell": [[-0.418, -5.794, -2.598], [7.410, 2.264, -2.565], [0.519, -0.949, 9.399]],
  "species": ["Cr", "Cr", "Cr", "Cr", "Cr", "Cr", "Cr", "P", "P", "P", "P", "P", "P", "O", "O", "O", "O", "O", "O", "O", "O", "O", "O", "O", "O", "O", "O", "O", "O", "O", "O", "O", "O", "O", "O", "O", "O"],
  "frac_coords": [[0.283, 0.322, 0.796], [0.717, 0.678, 0.204], [0.619, 0.040, 0.390], [0.381, 0.960, 0.610], [0.000, 0.500, 0.500], [0.048, 0.214, 0.026], [0.952, 0.786, 0.974], [0.096, 0.097, 0.334], [0.904, 0.903, 0.666], [0.774, 0.353, 0.736], [0.226, 0.647, 0.264], [0.604, 0.258, 0.135], [0.396, 0.742, 0.865], [0.272, 0.546, 0.735], [0.728, 0.454, 0.265], [0.747, 0.208, 0.036], [0.253, 0.792, 0.964], [0.556, 0.131, 0.219], [0.444, 0.869, 0.781], [0.773, 0.290, 0.564], [0.227, 0.710, 0.436], [0.125, 0.291, 0.418], [0.875, 0.709, 0.582], [0.072, 0.048, 0.155], [0.928, 0.952, 0.845], [0.205, 0.449, 0.205], [0.685, 0.958, 0.581], [0.315, 0.042, 0.419], [0.455, 0.759, 0.263], [0.545, 0.241, 0.737], [0.883, 0.972, 0.339], [0.795, 0.551, 0.795], [0.635, 0.751, 0.989], [0.365, 0.249, 0.011], [0.011, 0.683, 0.151], [0.989, 0.317, 0.849], [0.117, 0.028, 0.661]],
  "energy_ev_per_atom": -7.6367,
  "formation_energy_ev_per_atom": -2.547
}

Record 5
{
  "formula": "Cr2Fe3CuP6O24",
  "functional": "GGA+U",
  "state": "relaxed",
  "cell": [[7.196, -4.311, 0.000], [7.196, 4.311, 0.000], [4.614, 0.000, 7.005]],
  "species": ["Cr", "Cr", "Fe", "Fe", "Fe", "Cu", "P", "P", "P", "P", "P", "P", "O", "O", "O", "O", "O", "O", "O", "O", "O", "O", "O", "O", "O", "O", "O", "O", "O", "O", "O", "O", "O", "O", "O", "O"],
  "frac_coords": [[0.001, 0.001, 0.001], [0.501, 0.501, 0.501], [0.855, 0.855, 0.855], [0.647, 0.647, 0.647], [0.354, 0.354, 0.354], [0.146, 0.146, 0.146], [0.547, 0.952, 0.250], [0.250, 0.547, 0.952], [0.952, 0.250, 0.547], [0.049, 0.751, 0.452], [0.751, 0.452, 0.049], [0.452, 0.049, 0.751], [0.495, 0.895, 0.676], [0.895, 0.676, 0.495], [0.751, 0.940, 0.095], [0.676, 0.495, 0.895], [0.393, 0.983, 0.181], [0.567, 0.747, 0.405], [0.095, 0.751, 0.940], [0.405, 0.567, 0.747], [0.006, 0.826, 0.606], [0.747, 0.405, 0.567], [0.059, 0.905, 0.249], [0.826, 0.606, 0.006], [0.181, 0.393, 0.983], [0.940, 0.095, 0.751], [0.253, 0.596, 0.437], [0.983, 0.181, 0.393], [0.596, 0.437, 0.253], [0.905, 0.249, 0.059], [0.437, 0.253, 0.596], [0.606, 0.006, 0.826], [0.325, 0.502, 0.106], [0.249, 0.059, 0.905], [0.106, 0.325, 0.502], [0.502, 0.106, 0.325]],
  "energy_ev_per_atom": -7.0907,
  "formation_energy_ev_per_atom": -2.291
}

Record 6
{
  "formula": "MgTl4Ni4O12",
  "functional": "GGA+U",
  "state": "relaxed",
  "cell": [[5.457, -0.188, -0.283], [-0.192, 5.534, 0.279], [-0.412, 0.410, 8.560]],
  "species": ["Mg", "Tl", "Tl", "Tl", "Tl", "Ni", "Ni", "Ni", "Ni", "O", "O", "O", "O", "O", "O", "O", "O", "O", "O", "O", "O"],
  "frac_coords": [[0.858, 0.150, 0.897], [0.528, 0.540, 0.264], [0.018, 0.865, 0.673], [0.481, 0.563, 0.821], [0.995, 0.036, 0.270], [0.447, 0.045, 0.040], [0.511, 0.977, 0.496], [0.030, 0.448, 0.477], [0.995, 0.556, 0.026], [0.743, 0.249, 0.409], [0.673, 0.334, 0.059], [0.208, 0.159, 0.530], [0.824, 0.726, 0.433], [0.773, 0.861, 0.066], [0.384, 0.930, 0.264], [0.205, 0.266, 0.954], [0.663, 0.983, 0.725], [0.861, 0.502, 0.793], [0.247, 0.793, 0.938], [0.130, 0.448, 0.249], [0.298, 0.653, 0.575]],
  "energy_ev_per_atom": -4.6503,
  "polymorph_energy_mev_per_atom": 27,
  "formation_energy_ev_per_atom": -1.072
}

Record 7
{
  "formula": "NaLi2FePCO7",
  "functional": "GGA+U",
  "state": "relaxed",
  "cell": [[6.873, -4.357, 1.532], [1.051, 7.000, 4.468], [-3.383, -3.761, 7.048]],
  "species": ["Na", "Na", "Na", "Na", "Li", "Li", "Li", "Li", "Li", "Li", "Li", "Li", "Fe", "Fe", "Fe", "Fe", "P", "P", "P", "P", "C", "C", "C", "C", "O", "O", "O", "O", "O", "O", "O", "O", "O", "O", "O", "O", "O", "O", "O", "O", "O", "O", "O", "O", "O", "O", "O", "O", "O", "O", "O", "O"],
  "frac_coords": [[0.503, 0.255, 0.087], [0.003, 0.755, 0.087], [0.626, 0.122, 0.744], [0.126, 0.622, 0.744], [0.132, 0.104, 0.282], [0.633, 0.604, 0.282], [0.365, 0.884, 0.275], [0.865, 0.384, 0.276], [0.864, 0.893, 0.720], [0.364, 0.393, 0.720], [0.507, 0.724, 0.905], [0.007, 0.224, 0.905], [0.270, 0.522, 0.340], [0.729, 0.490, 0.656], [0.770, 0.022, 0.340], [0.230, 0.990, 0.655], [0.484, 0.242, 0.417], [0.984, 0.742, 0.417], [0.523, 0.772, 0.582], [0.023, 0.272, 0.582], [0.727, 0.969, 0.041], [0.228, 0.468, 0.041], [0.265, 0.016, 0.957], [0.765, 0.516, 0.957], [0.273, 0.020, 0.107], [0.773, 0.520, 0.107], [0.849, 0.092, 0.069], [0.349, 0.592, 0.069], [0.631, 0.890, 0.156], [0.131, 0.390, 0.156], [0.444, 0.382, 0.316], [0.944, 0.882, 0.316], [0.637, 0.200, 0.328], [0.137, 0.700, 0.328], [0.333, 0.087, 0.425], [0.833, 0.587, 0.425], [0.471, 0.715, 0.420], [0.971, 0.215, 0.420], [0.524, 0.298, 0.582], [0.024, 0.798, 0.582], [0.685, 0.912, 0.566], [0.185, 0.412, 0.566], [0.385, 0.833, 0.676], [0.885, 0.333, 0.676], [0.551, 0.627, 0.687], [0.052, 0.127, 0.687], [0.366, 0.125, 0.867], [0.866, 0.625, 0.867], [0.154, 0.904, 0.894], [0.654, 0.404, 0.895], [0.700, 0.922, 0.901], [0.200, 0.422, 0.901]],
  "energy_ev_per_atom": -6.6064,
  "polymorph_energy_mev_per_atom": 12,
  "formation_energy_ev_per_atom": -2.312
}

Record 8
{
  "formula": "Li2CoSnO4",
  "functional": "GGA+U",
  "state": "relaxed",
  "cell": [[-3.160, 5.055, 0.000], [-2.277, -4.940, -5.960], [-5.438, 0.115, 5.960]],
  "species": ["Li", "Li", "Li", "Li", "Li", "Li", "Li", "Li", "Co", "Co", "Co", "Co", "Sn", "Sn", "Sn", "Sn", "O", "O", "O", "O", "O", "O", "O", "O", "O", "O", "O", "O", "O", "O", "O", "O"],
  "frac_coords": [[0.375, 0.375, 0.125], [0.625, 0.125, 0.375], [0.875, 0.875, 0.625], [0.125, 0.625, 0.875], [0.250, 0.250, 0.750], [0.500, 0.000, 0.000], [0.750, 0.750, 0.250], [0.000, 0.500, 0.500], [0.876, 0.376, 0.124], [0.124, 0.124, 0.376], [0.376, 0.876, 0.624], [0.624, 0.624, 0.876], [0.250, 0.750, 0.250], [0.500, 0.500, 0.500], [0.750, 0.250, 0.750], [0.000, 0.000, 0.000], [0.875, 0.618, 0.368], [0.125, 0.368, 0.618], [0.375, 0.118, 0.868], [0.625, 0.868, 0.118], [0.875, 0.132, 0.882], [0.125, 0.882, 0.132], [0.375, 0.632, 0.382], [0.625, 0.382, 0.632], [0.250, 0.523, 0.023], [0.500, 0.274, 0.274], [0.750, 0.023, 0.523], [0.000, 0.774, 0.774], [0.000, 0.226, 0.226], [0.250, 0.977, 0.477], [0.500, 0.726, 0.726], [0.750, 0.477, 0.977]],
  "piezo_max_c_m2": 1.3,
  "energy_ev_per_atom": -5.7555,
  "polymorph_energy_mev_per_atom": 9,
  "formation_energy_ev_per_atom": -1.963
}